Crystalline Na2YHC2O7 at its relaxed geometry. Source: the Materials Project, functional PBE.

Computed properties:
- space group = C2/c
- formation energy from the elements (eV per atom) = -2.3591
- magnetization (μB per formula unit) = 0.0

```
Na2YHC2O7
1.0
8.856 -3.095 0.000
8.856 3.095 0.000
-1.190 0.000 11.424
Na Y H C O
8 4 4 8 28
direct
0.009 0.213 0.382 Na
0.145 0.324 0.142 Na
0.213 0.009 0.882 Na
0.324 0.145 0.642 Na
0.676 0.855 0.358 Na
0.787 0.991 0.118 Na
0.855 0.676 0.858 Na
0.991 0.787 0.618 Na
0.281 0.598 0.369 Y
0.402 0.719 0.131 Y
0.598 0.281 0.869 Y
0.719 0.402 0.631 Y
0.239 0.559 0.124 H
0.441 0.761 0.376 H
0.559 0.239 0.624 H
0.761 0.441 0.876 H
0.138 0.733 0.884 C
0.217 0.366 0.422 C
0.267 0.862 0.616 C
0.366 0.217 0.922 C
0.634 0.783 0.078 C
0.733 0.138 0.384 C
0.783 0.634 0.578 C
0.862 0.267 0.116 C
0.069 0.091 0.083 O
0.091 0.069 0.583 O
0.116 0.487 0.327 O
0.193 0.595 0.800 O
0.202 0.259 0.934 O
0.202 0.674 0.176 O
0.259 0.202 0.434 O
0.281 0.419 0.504 O
0.306 0.681 0.934 O
0.319 0.694 0.566 O
0.326 0.798 0.324 O
0.405 0.807 0.700 O
0.419 0.281 0.004 O
0.487 0.116 0.827 O
0.513 0.884 0.173 O
0.581 0.719 0.996 O
0.595 0.193 0.300 O
0.674 0.202 0.676 O
0.681 0.306 0.434 O
0.694 0.319 0.066 O
0.719 0.581 0.496 O
0.741 0.798 0.566 O
0.798 0.326 0.824 O
0.798 0.741 0.066 O
0.807 0.405 0.200 O
0.884 0.513 0.673 O
0.909 0.931 0.417 O
0.931 0.909 0.917 O
```

Crystalline NaYH8C4O12 at its relaxed geometry. Source: the Materials Project, functional PBE.

Computed properties:
- space group = Pc
- formation energy from the elements (eV per atom) = -1.7336
- magnetization (μB per formula unit) = 0.0

```
NaYH8C4O12
1.0
8.787 0.000 0.000
0.000 8.654 0.000
-3.451 0.000 14.629
Na Y H C O
4 4 32 16 48
direct
0.000 0.120 0.000 Na
0.000 0.880 0.500 Na
0.322 0.178 0.495 Na
0.322 0.822 0.995 Na
0.120 0.405 0.213 Y
0.120 0.595 0.713 Y
0.652 0.094 0.783 Y
0.652 0.906 0.283 Y
0.079 0.217 0.576 H
0.079 0.783 0.076 H
0.143 0.448 0.016 H
0.143 0.552 0.516 H
0.287 0.122 0.919 H
0.287 0.878 0.419 H
0.323 0.183 0.020 H
0.323 0.817 0.520 H
0.344 0.479 0.426 H
0.344 0.521 0.926 H
0.421 0.474 0.026 H
0.421 0.526 0.526 H
0.591 0.267 0.109 H
0.591 0.733 0.609 H
0.644 0.227 0.570 H
0.644 0.773 0.070 H
0.651 0.275 0.472 H
0.651 0.725 0.972 H
0.672 0.178 0.986 H
0.672 0.822 0.486 H
0.680 0.006 0.480 H
0.680 0.994 0.980 H
0.690 0.473 0.911 H
0.690 0.527 0.411 H
0.698 0.405 0.090 H
0.698 0.595 0.590 H
0.805 0.404 0.386 H
0.805 0.596 0.886 H
0.960 0.461 0.007 H
0.960 0.539 0.507 H
0.968 0.209 0.478 H
0.968 0.791 0.978 H
0.343 0.301 0.702 C
0.343 0.699 0.202 C
0.359 0.126 0.292 C
0.359 0.874 0.792 C
0.406 0.180 0.204 C
0.406 0.820 0.704 C
0.429 0.386 0.790 C
0.429 0.614 0.290 C
0.830 0.369 0.705 C
0.830 0.631 0.205 C
0.882 0.192 0.292 C
0.882 0.808 0.792 C
0.896 0.109 0.203 C
0.896 0.891 0.703 C
0.947 0.321 0.794 C
0.947 0.679 0.294 C
0.052 0.155 0.519 O
0.052 0.845 0.019 O
0.055 0.406 0.040 O
0.055 0.594 0.540 O
0.077 0.387 0.813 O
0.077 0.613 0.313 O
0.213 0.357 0.660 O
0.213 0.643 0.160 O
0.249 0.198 0.316 O
0.249 0.802 0.816 O
0.264 0.105 0.979 O
0.264 0.895 0.479 O
0.318 0.277 0.154 O
0.318 0.723 0.654 O
0.331 0.469 0.489 O
0.331 0.531 0.989 O
0.368 0.490 0.309 O
0.368 0.510 0.809 O
0.408 0.183 0.677 O
0.408 0.817 0.177 O
0.434 0.012 0.335 O
0.434 0.988 0.835 O
0.531 0.125 0.188 O
0.531 0.875 0.688 O
0.554 0.327 0.836 O
0.554 0.673 0.336 O
0.609 0.193 0.506 O
0.609 0.807 0.006 O
0.610 0.337 0.061 O
0.610 0.663 0.561 O
0.699 0.301 0.685 O
0.699 0.699 0.185 O
0.715 0.092 0.956 O
0.715 0.908 0.456 O
0.763 0.444 0.437 O
0.763 0.556 0.937 O
0.801 0.127 0.341 O
0.801 0.873 0.841 O
0.819 0.014 0.683 O
0.819 0.986 0.183 O
0.872 0.476 0.657 O
0.872 0.524 0.157 O
0.900 0.217 0.842 O
0.900 0.783 0.342 O
0.949 0.322 0.310 O
0.949 0.678 0.810 O
0.982 0.173 0.156 O
0.982 0.827 0.656 O
```

Crystalline NaZnH2C3O7 at its relaxed geometry. Source: the Materials Project, functional PBE.

Computed properties:
- space group = P2_1/c
- formation energy from the elements (eV per atom) = -1.6396
- magnetization (μB per formula unit) = 0.0

```
NaZnH2C3O7
1.0
5.995 0.000 0.000
0.000 15.586 0.000
-1.362 0.000 7.157
Na Zn H C O
4 4 8 12 28
direct
0.026 0.182 0.192 Na
0.026 0.318 0.692 Na
0.974 0.682 0.308 Na
0.974 0.818 0.808 Na
0.228 0.100 0.785 Zn
0.228 0.400 0.285 Zn
0.772 0.600 0.715 Zn
0.772 0.900 0.215 Zn
0.326 0.026 0.125 H
0.326 0.474 0.625 H
0.445 0.120 0.135 H
0.445 0.380 0.635 H
0.555 0.620 0.365 H
0.555 0.880 0.865 H
0.674 0.526 0.375 H
0.674 0.974 0.875 H
0.005 0.537 0.072 C
0.005 0.963 0.572 C
0.299 0.651 0.714 C
0.299 0.849 0.214 C
0.452 0.733 0.755 C
0.452 0.767 0.255 C
0.548 0.233 0.745 C
0.548 0.267 0.245 C
0.701 0.151 0.786 C
0.701 0.349 0.286 C
0.995 0.037 0.428 C
0.995 0.463 0.928 C
0.086 0.664 0.678 O
0.086 0.836 0.178 O
0.096 0.106 0.484 O
0.096 0.394 0.984 O
0.112 0.523 0.237 O
0.112 0.977 0.737 O
0.306 0.086 0.078 O
0.306 0.414 0.578 O
0.340 0.224 0.758 O
0.340 0.276 0.258 O
0.364 0.699 0.298 O
0.364 0.801 0.798 O
0.402 0.580 0.718 O
0.402 0.920 0.218 O
0.598 0.080 0.782 O
0.598 0.420 0.282 O
0.636 0.199 0.202 O
0.636 0.301 0.702 O
0.660 0.724 0.742 O
0.660 0.776 0.242 O
0.694 0.586 0.422 O
0.694 0.914 0.922 O
0.888 0.023 0.263 O
0.888 0.477 0.763 O
0.904 0.606 0.016 O
0.904 0.894 0.516 O
0.914 0.164 0.822 O
0.914 0.336 0.322 O
```

Crystalline Rb3NbH4C6O15 at its relaxed geometry. Source: the Materials Project, functional PBE.

Computed properties:
- space group = P-1
- formation energy from the elements (eV per atom) = -1.8193
- magnetization (μB per formula unit) = 0.0

```
Rb3NbH4C6O15
1.0
8.093 0.000 0.000
0.572 9.143 0.000
0.613 2.211 11.472
Rb Nb H C O
6 2 8 12 30
direct
0.015 0.241 0.369 Rb
0.146 0.329 0.928 Rb
0.379 0.035 0.650 Rb
0.621 0.965 0.350 Rb
0.854 0.671 0.072 Rb
0.985 0.759 0.631 Rb
0.322 0.626 0.168 Nb
0.678 0.374 0.832 Nb
0.037 0.056 0.131 H
0.166 0.412 0.593 H
0.221 0.096 0.147 H
0.258 0.501 0.486 H
0.742 0.499 0.514 H
0.779 0.904 0.853 H
0.834 0.588 0.407 H
0.963 0.944 0.869 H
0.071 0.752 0.331 C
0.235 0.820 0.354 C
0.265 0.897 0.972 C
0.423 0.622 0.746 C
0.428 0.346 0.341 C
0.451 0.848 0.960 C
0.549 0.152 0.040 C
0.572 0.654 0.659 C
0.577 0.378 0.254 C
0.735 0.103 0.028 C
0.765 0.180 0.646 C
0.929 0.248 0.669 C
0.063 0.217 0.618 O
0.085 0.661 0.259 O
0.104 0.127 0.159 O
0.193 0.821 0.064 O
0.199 0.998 0.900 O
0.212 0.510 0.564 O
0.220 0.513 0.091 O
0.238 0.904 0.425 O
0.302 0.710 0.748 O
0.314 0.455 0.329 O
0.360 0.777 0.292 O
0.419 0.229 0.413 O
0.443 0.493 0.817 O
0.456 0.089 0.119 O
0.495 0.737 0.041 O
0.505 0.263 0.959 O
0.544 0.911 0.881 O
0.557 0.507 0.183 O
0.581 0.771 0.587 O
0.640 0.223 0.708 O
0.686 0.545 0.671 O
0.698 0.290 0.252 O
0.762 0.096 0.575 O
0.780 0.487 0.909 O
0.788 0.490 0.436 O
0.801 0.002 0.100 O
0.807 0.179 0.936 O
0.896 0.873 0.841 O
0.915 0.339 0.741 O
0.937 0.783 0.382 O
```